# 1
VASP calculation (PBE-GGA) on a relaxed CaUS2 crystal.

a = 8.881 Å, b = 8.881 Å, c = 8.881 Å
α = 127.86°, β = 127.86°, γ = 76.86°
Fractional positions:
Ca 0.270 0.625 0.145
Ca 0.480 0.125 0.855
Ca 0.375 0.520 0.645
Ca 0.875 0.730 0.355
U 0.375 0.024 0.149
U 0.875 0.226 0.851
U 0.774 0.625 0.649
U 0.976 0.125 0.351
S 0.106 0.101 0.707
S 0.601 0.894 0.995
S 0.394 0.399 0.293
S 0.356 0.149 0.505
S 0.851 0.356 0.207
S 0.644 0.851 0.495
S 0.149 0.644 0.793
S 0.899 0.606 0.005

DFT formation energy   -5.7 eV per formula unit
Volume   424 Å³/cell
SG   I-42d (122)

***

# 2
VASP calculation (PBE-GGA) on a relaxed CaY2S4 crystal.

a = 3.909 Å, b = 13.034 Å, c = 13.179 Å
α = 90.00°, β = 90.00°, γ = 90.00°
Fractional positions:
Ca 0.750 0.630 0.419
Ca 0.250 0.370 0.581
Ca 0.750 0.130 0.081
Ca 0.250 0.870 0.919
Y 0.750 0.892 0.583
Y 0.250 0.108 0.417
Y 0.750 0.392 0.917
Y 0.250 0.608 0.083
Y 0.250 0.646 0.703
Y 0.750 0.354 0.297
Y 0.250 0.146 0.797
Y 0.750 0.854 0.203
S 0.250 0.971 0.118
S 0.750 0.029 0.882
S 0.250 0.471 0.382
S 0.750 0.529 0.618
S 0.750 0.744 0.025
S 0.250 0.256 0.975
S 0.750 0.244 0.475
S 0.250 0.756 0.525
S 0.250 0.533 0.883
S 0.750 0.467 0.117
S 0.250 0.033 0.617
S 0.750 0.967 0.383
S 0.750 0.782 0.763
S 0.250 0.218 0.237
S 0.750 0.282 0.737
S 0.250 0.718 0.263

DFT formation energy   -16.7 eV per formula unit
Volume   671 Å³/cell
SG   Pnma (62)

***

# 3
VASP calculation (PBE-GGA) on a relaxed CaZrS3 crystal.

a = 6.588 Å, b = 7.082 Å, c = 9.662 Å
α = 90.00°, β = 90.00°, γ = 90.00°
Fractional positions:
Ca 0.033 0.093 0.250
Ca 0.533 0.407 0.750
Ca 0.467 0.593 0.250
Ca 0.967 0.907 0.750
Zr 0.500 0.000 0.000
Zr 0.000 0.500 0.000
Zr 0.000 0.500 0.500
Zr 0.500 0.000 0.500
S 0.817 0.191 0.564
S 0.317 0.309 0.436
S 0.683 0.691 0.936
S 0.183 0.809 0.064
S 0.183 0.809 0.436
S 0.683 0.691 0.564
S 0.317 0.309 0.064
S 0.817 0.191 0.936
S 0.625 0.966 0.250
S 0.125 0.534 0.750
S 0.875 0.466 0.250
S 0.375 0.034 0.750

DFT formation energy   -10.2 eV per formula unit
Volume   451 Å³/cell
SG   Pnma (62)

***

# 4
VASP calculation (PBE-GGA) on a relaxed Ca5Sb3 crystal.

a = 8.316 Å, b = 9.589 Å, c = 12.644 Å
α = 90.00°, β = 90.00°, γ = 90.00°
Fractional positions:
Ca 0.308 0.958 0.078
Ca 0.808 0.042 0.422
Ca 0.692 0.458 0.922
Ca 0.192 0.542 0.578
Ca 0.692 0.042 0.922
Ca 0.192 0.958 0.578
Ca 0.308 0.542 0.078
Ca 0.808 0.458 0.422
Ca 0.681 0.750 0.228
Ca 0.181 0.250 0.272
Ca 0.319 0.250 0.772
Ca 0.819 0.750 0.728
Ca 0.154 0.750 0.293
Ca 0.654 0.250 0.207
Ca 0.846 0.250 0.707
Ca 0.346 0.750 0.793
Ca 0.536 0.750 0.505
Ca 0.036 0.250 0.995
Ca 0.464 0.250 0.495
Ca 0.964 0.750 0.005
Sb 0.938 0.012 0.171
Sb 0.438 0.988 0.329
Sb 0.062 0.512 0.829
Sb 0.562 0.488 0.671
Sb 0.062 0.988 0.829
Sb 0.562 0.012 0.671
Sb 0.938 0.488 0.171
Sb 0.438 0.512 0.329
Sb 0.577 0.750 0.985
Sb 0.077 0.250 0.515
Sb 0.423 0.250 0.015
Sb 0.923 0.750 0.485

DFT formation energy   -8.5 eV per formula unit
Volume   1008 Å³/cell
SG   Pnma (62)

***

# 5
VASP calculation (PBE-GGA) on a relaxed Ca16Sb11 crystal.

a = 11.340 Å, b = 12.311 Å, c = 12.318 Å
α = 90.00°, β = 90.00°, γ = 90.00°
Fractional positions:
Ca 0.860 0.500 0.000
Ca 0.140 0.000 0.500
Ca 0.499 0.632 0.131
Ca 0.501 0.132 0.369
Ca 0.499 0.368 0.869
Ca 0.501 0.868 0.631
Ca 0.001 0.792 0.088
Ca 0.999 0.292 0.412
Ca 0.001 0.208 0.912
Ca 0.999 0.708 0.588
Ca 0.999 0.088 0.208
Ca 0.001 0.588 0.292
Ca 0.999 0.912 0.792
Ca 0.001 0.412 0.708
Ca 0.214 0.500 0.000
Ca 0.786 0.000 0.500
Ca 0.711 0.924 0.210
Ca 0.289 0.424 0.290
Ca 0.711 0.076 0.790
Ca 0.289 0.576 0.710
Ca 0.289 0.209 0.076
Ca 0.711 0.709 0.424
Ca 0.289 0.791 0.924
Ca 0.711 0.291 0.576
Ca 0.688 0.571 0.706
Ca 0.312 0.071 0.794
Ca 0.688 0.429 0.294
Ca 0.312 0.929 0.206
Ca 0.318 0.702 0.431
Ca 0.682 0.202 0.069
Ca 0.318 0.298 0.569
Ca 0.682 0.798 0.931
Sb 0.850 0.500 0.500
Sb 0.150 0.000 0.000
Sb 0.154 0.500 0.500
Sb 0.846 0.000 0.000
Sb 0.966 0.855 0.354
Sb 0.034 0.355 0.146
Sb 0.966 0.145 0.646
Sb 0.034 0.645 0.854
Sb 0.513 0.874 0.374
Sb 0.487 0.374 0.126
Sb 0.513 0.126 0.626
Sb 0.487 0.626 0.874
Sb 0.764 0.665 0.164
Sb 0.236 0.165 0.336
Sb 0.764 0.335 0.836
Sb 0.236 0.835 0.664
Sb 0.237 0.679 0.181
Sb 0.763 0.179 0.319
Sb 0.237 0.321 0.819
Sb 0.763 0.821 0.681
Sb 0.506 0.500 0.500
Sb 0.494 0.000 0.000

DFT formation energy   -29.8 eV per formula unit
Volume   1720 Å³/cell
SG   P2_12_12 (18)

***

# 6
VASP calculation (PBE-GGA) on a relaxed Ca5Sb3 crystal.

a = 9.087 Å, b = 9.087 Å, c = 6.990 Å
α = 90.00°, β = 90.00°, γ = 120.00°
Fractional positions:
Ca 0.333 0.667 0.000
Ca 0.667 0.333 0.500
Ca 0.667 0.333 0.000
Ca 0.333 0.667 0.500
Ca 0.252 0.000 0.250
Ca 0.252 0.252 0.750
Ca 0.000 0.748 0.750
Ca 0.000 0.252 0.250
Ca 0.748 0.748 0.250
Ca 0.748 0.000 0.750
Sb 0.611 0.000 0.250
Sb 0.611 0.611 0.750
Sb 0.000 0.389 0.750
Sb 0.000 0.611 0.250
Sb 0.389 0.389 0.250
Sb 0.389 0.000 0.750

DFT formation energy   -8.5 eV per formula unit
Volume   500 Å³/cell
SG   P6_3/mcm (193)

***

# 7
VASP calculation (PBE-GGA) on a relaxed Ca3Sb2 crystal.

a = 5.780 Å, b = 5.780 Å, c = 5.780 Å
α = 90.00°, β = 90.00°, γ = 90.00°
Fractional positions:
Ca 0.000 0.500 0.500
Ca 0.500 0.000 0.500
Ca 0.500 0.500 0.000
Sb 0.000 0.000 0.000
Sb 0.500 0.500 0.500

DFT formation energy   -3.4 eV per formula unit
Volume   193 Å³/cell
SG   Pm-3m (221)

***

# 8
VASP calculation (PBE-GGA) on a relaxed CaZn2Sb2 crystal.

a = 4.497 Å, b = 4.497 Å, c = 7.485 Å
α = 90.00°, β = 90.00°, γ = 120.00°
Fractional positions:
Ca 0.000 0.000 0.000
Zn 0.333 0.667 0.634
Zn 0.667 0.333 0.366
Sb 0.333 0.667 0.257
Sb 0.667 0.333 0.743

DFT formation energy   -2.6 eV per formula unit
Volume   131 Å³/cell
SG   P-3m1 (164)

***

Copy entry 5 word for word.
VASP calculation (PBE-GGA) on a relaxed Ca16Sb11 crystal.

a = 11.340 Å, b = 12.311 Å, c = 12.318 Å
α = 90.00°, β = 90.00°, γ = 90.00°
Fractional positions:
Ca 0.860 0.500 0.000
Ca 0.140 0.000 0.500
Ca 0.499 0.632 0.131
Ca 0.501 0.132 0.369
Ca 0.499 0.368 0.869
Ca 0.501 0.868 0.631
Ca 0.001 0.792 0.088
Ca 0.999 0.292 0.412
Ca 0.001 0.208 0.912
Ca 0.999 0.708 0.588
Ca 0.999 0.088 0.208
Ca 0.001 0.588 0.292
Ca 0.999 0.912 0.792
Ca 0.001 0.412 0.708
Ca 0.214 0.500 0.000
Ca 0.786 0.000 0.500
Ca 0.711 0.924 0.210
Ca 0.289 0.424 0.290
Ca 0.711 0.076 0.790
Ca 0.289 0.576 0.710
Ca 0.289 0.209 0.076
Ca 0.711 0.709 0.424
Ca 0.289 0.791 0.924
Ca 0.711 0.291 0.576
Ca 0.688 0.571 0.706
Ca 0.312 0.071 0.794
Ca 0.688 0.429 0.294
Ca 0.312 0.929 0.206
Ca 0.318 0.702 0.431
Ca 0.682 0.202 0.069
Ca 0.318 0.298 0.569
Ca 0.682 0.798 0.931
Sb 0.850 0.500 0.500
Sb 0.150 0.000 0.000
Sb 0.154 0.500 0.500
Sb 0.846 0.000 0.000
Sb 0.966 0.855 0.354
Sb 0.034 0.355 0.146
Sb 0.966 0.145 0.646
Sb 0.034 0.645 0.854
Sb 0.513 0.874 0.374
Sb 0.487 0.374 0.126
Sb 0.513 0.126 0.626
Sb 0.487 0.626 0.874
Sb 0.764 0.665 0.164
Sb 0.236 0.165 0.336
Sb 0.764 0.335 0.836
Sb 0.236 0.835 0.664
Sb 0.237 0.679 0.181
Sb 0.763 0.179 0.319
Sb 0.237 0.321 0.819
Sb 0.763 0.821 0.681
Sb 0.506 0.500 0.500
Sb 0.494 0.000 0.000

DFT formation energy   -29.8 eV per formula unit
Volume   1720 Å³/cell
SG   P2_12_12 (18)

***

Please write out number 7 again, unchanged.
VASP calculation (PBE-GGA) on a relaxed Ca3Sb2 crystal.

a = 5.780 Å, b = 5.780 Å, c = 5.780 Å
α = 90.00°, β = 90.00°, γ = 90.00°
Fractional positions:
Ca 0.000 0.500 0.500
Ca 0.500 0.000 0.500
Ca 0.500 0.500 0.000
Sb 0.000 0.000 0.000
Sb 0.500 0.500 0.500

DFT formation energy   -3.4 eV per formula unit
Volume   193 Å³/cell
SG   Pm-3m (221)

***

> Look up the DFT formation energy of the third one.

-10.2 eV per formula unit